[1]
A relaxed Ti5NbO12 crystal, computed with PBE.

Output
Calculated total energy   -8.967 eV per atom
Formation energy from the elements   -3.372 eV/atom
Crystal system   monoclinic
Space group   C2/m, No. 12

Lattice parameters (Å, degrees): 5.573 5.573 7.277 71.22 71.22 73.50
Positions (direct):
1 Ti 0.662 0.662 0.329
2 O 0.102 0.102 0.705
3 O 0.898 0.898 0.295
4 O 0.368 0.972 0.331
5 O 0.231 0.231 0.965
6 O 0.632 0.028 0.669
7 O 0.972 0.368 0.331
8 Ti 0.662 0.662 0.840
9 Ti 0.338 0.338 0.160
10 O 0.696 0.304 0.000
11 Ti 0.338 0.338 0.671
12 Nb 0.000 0.000 0.500
13 O 0.304 0.696 0.000
14 O 0.435 0.435 0.371
15 Ti 0.000 0.000 0.000
16 O 0.565 0.565 0.629
17 O 0.769 0.769 0.035
18 O 0.028 0.632 0.669

[2]
A relaxed Ti3NbO8 crystal, computed with PBE.

Output
Calculated total energy   -8.976 eV per atom
Formation energy from the elements   -3.319 eV/atom
Crystal system   monoclinic
Space group   C2/m, No. 12

Lattice parameters (Å, degrees): 9.897 9.897 4.718 89.57 89.57 35.27
Positions (direct):
1 O 0.080 0.566 0.303
2 Nb 0.878 0.878 0.496
3 O 0.178 0.675 0.696
4 O 0.675 0.178 0.696
5 O 0.050 0.050 0.806
6 Ti 0.371 0.371 0.505
7 O 0.920 0.434 0.697
8 O 0.700 0.700 0.198
9 Ti 0.500 0.000 0.000
10 O 0.822 0.325 0.304
11 O 0.199 0.199 0.192
12 O 0.566 0.080 0.303
13 Ti 0.262 0.738 0.000
14 Nb 0.122 0.122 0.504
15 O 0.325 0.822 0.304
16 Ti 0.629 0.629 0.495
17 Ti 0.000 0.500 0.000
18 O 0.950 0.950 0.194
19 O 0.434 0.920 0.697
20 O 0.550 0.550 0.804
21 O 0.450 0.450 0.196
22 Ti 0.738 0.262 0.000
23 O 0.801 0.801 0.808
24 O 0.300 0.300 0.802

[3]
A relaxed TiNbO4 crystal, computed with PBE.

Output
Calculated total energy   -9.010 eV per atom
Formation energy from the elements   -3.170 eV/atom
Crystal system   monoclinic
Space group   Cm, No. 8

Lattice parameters (Å, degrees): 5.664 5.664 7.403 70.90 70.90 73.74
Positions (direct):
1 O 0.367 0.973 0.330
2 O 0.772 0.772 0.030
3 Nb 0.664 0.664 0.835
4 O 0.973 0.367 0.330
5 O 0.900 0.900 0.298
6 O 0.042 0.628 0.665
7 O 0.696 0.294 0.005
8 Nb 0.998 0.998 0.505
9 Ti 0.328 0.328 0.671
10 O 0.430 0.430 0.369
11 Ti 0.008 0.008 0.002
12 Nb 0.662 0.662 0.328
13 O 0.101 0.101 0.707
14 Ti 0.337 0.337 0.159
15 O 0.294 0.696 0.005
16 O 0.566 0.566 0.631
17 O 0.232 0.232 0.964
18 O 0.628 0.042 0.665

[4]
A relaxed Ti3NbO8 crystal, computed with PBE.

Output
Calculated total energy   -8.914 eV per atom
Formation energy from the elements   -3.258 eV/atom
Crystal system   hexagonal
Space group   P6_3mc, No. 186

Lattice parameters (Å, degrees): 5.974 5.974 9.401 90.00 90.00 120.00
Positions (direct):
1 O 0.043 0.521 0.336
2 O 0.169 0.831 0.600
3 O 0.479 0.521 0.336
4 Ti 0.169 0.337 0.214
5 O 0.333 0.667 0.106
6 O 0.957 0.479 0.836
7 Nb 0.667 0.333 0.991
8 O 0.521 0.043 0.836
9 Ti 0.831 0.169 0.714
10 O 0.169 0.339 0.600
11 O 0.000 0.000 0.809
12 O 0.667 0.333 0.606
13 O 0.479 0.957 0.336
14 Nb 0.333 0.667 0.491
15 O 0.521 0.479 0.836
16 O 0.000 0.000 0.309
17 Ti 0.663 0.831 0.214
18 O 0.831 0.169 0.100
19 Ti 0.831 0.663 0.714
20 Ti 0.337 0.169 0.714
21 O 0.339 0.169 0.100
22 Ti 0.169 0.831 0.214
23 O 0.661 0.831 0.600
24 O 0.831 0.661 0.100

[5]
A relaxed TiNbO4 crystal, computed with PBE.

Output
Calculated total energy   -8.997 eV per atom
Formation energy from the elements   -3.157 eV/atom
Crystal system   tetragonal
Space group   I-4m2, No. 119

Lattice parameters (Å, degrees): 5.674 5.674 5.674 139.29 139.29 58.94
Positions (direct):
1 O 0.543 0.043 0.500
2 O 0.792 0.792 0.000
3 Ti 0.750 0.250 0.500
4 O 0.208 0.208 0.000
5 O 0.957 0.457 0.500
6 Nb 0.000 0.000 0.000

[6]
A relaxed Ti5Nb2O14 crystal, computed with PBE.

Output
Calculated total energy   -8.984 eV per atom
Formation energy from the elements   -3.302 eV/atom
Crystal system   orthorhombic
Space group   Cmmm, No. 65

Lattice parameters (Å, degrees): 4.732 4.732 21.066 90.00 90.00 90.57
Positions (direct):
1 O 0.698 0.302 0.930
2 O 0.193 0.193 0.857
3 O 0.301 0.699 0.644
4 O 0.301 0.699 0.785
5 Nb 0.500 0.500 0.143
6 Ti 0.000 0.000 0.354
7 Nb 0.500 0.500 0.857
8 O 0.699 0.301 0.215
9 Nb 0.500 0.500 0.426
10 Ti 0.000 0.000 0.646
11 O 0.806 0.806 0.571
12 Ti 0.500 0.500 0.000
13 O 0.699 0.301 0.356
14 Ti 0.500 0.500 0.284
15 Ti 0.000 0.000 0.785
16 O 0.299 0.701 0.500
17 O 0.195 0.195 0.000
18 Ti 0.500 0.500 0.716
19 O 0.195 0.195 0.286
20 O 0.301 0.699 0.356
21 O 0.805 0.805 0.714
22 O 0.698 0.302 0.070
23 O 0.193 0.193 0.143
24 O 0.301 0.699 0.215
25 O 0.805 0.805 0.000
26 O 0.302 0.698 0.070
27 O 0.195 0.195 0.714
28 O 0.699 0.301 0.785
29 O 0.194 0.194 0.571
30 O 0.807 0.807 0.857
31 O 0.302 0.698 0.930
32 O 0.699 0.301 0.644
33 O 0.805 0.805 0.286
34 O 0.807 0.807 0.143
35 Ti 0.000 0.000 0.500
36 Ti 0.000 0.000 0.070
37 O 0.194 0.194 0.429
38 Ti 0.000 0.000 0.930
39 O 0.806 0.806 0.429
40 Ti 0.000 0.000 0.215
41 Nb 0.500 0.500 0.574
42 O 0.701 0.299 0.500

[7]
A relaxed Ti3NbO8 crystal, computed with PBE.

Output
Calculated total energy   -8.980 eV per atom
Formation energy from the elements   -3.324 eV/atom
Crystal system   monoclinic
Space group   P2/m, No. 10

Lattice parameters (Å, degrees): 2.986 4.728 9.459 89.40 90.00 90.00
Positions (direct):
1 Ti 0.500 0.497 0.241
2 O 0.500 0.788 0.394
3 Ti 0.000 0.000 0.000
4 Ti 0.500 0.503 0.759
5 O 0.500 0.192 0.096
6 O 0.000 0.699 0.656
7 O 0.000 0.301 0.344
8 O 0.000 0.309 0.850
9 Nb 0.000 0.000 0.500
10 O 0.500 0.808 0.904
11 O 0.000 0.691 0.150
12 O 0.500 0.212 0.606

[8]
A relaxed TiNb6Tl2O18 crystal, computed with PBE.

Output
Calculated total energy   -8.443 eV per atom
Formation energy from the elements   -2.890 eV/atom
Crystal system   monoclinic
Space group   C2, No. 5

Lattice parameters (Å, degrees): 7.692 7.692 8.300 89.86 89.86 59.95
Positions (direct):
1 O 0.551 0.553 0.838
2 Nb 0.831 0.338 0.848
3 Nb 0.334 0.836 0.847
4 O 0.760 0.120 0.363
5 O 0.715 0.143 0.898
6 Nb 0.829 0.836 0.848
7 O 0.858 0.858 0.103
8 Nb 0.164 0.666 0.153
9 O 0.142 0.142 0.897
10 Tl 0.625 0.688 0.297
11 O 0.552 0.896 0.839
12 O 0.104 0.448 0.161
13 O 0.121 0.119 0.363
14 Tl 0.312 0.375 0.703
15 O 0.447 0.449 0.162
16 Ti 0.998 0.002 0.500
17 O 0.857 0.285 0.102
18 Nb 0.164 0.171 0.152
19 O 0.143 0.715 0.897
20 O 0.241 0.878 0.636
21 O 0.880 0.240 0.637
22 Nb 0.662 0.169 0.152
23 O 0.897 0.552 0.838
24 O 0.881 0.879 0.637
25 O 0.122 0.759 0.364
26 O 0.285 0.857 0.103
27 O 0.448 0.103 0.162

[9]
A relaxed TiNbTlO5 crystal, computed with PBE.

Output
Calculated total energy   -8.073 eV per atom
Formation energy from the elements   -2.865 eV/atom
Crystal system   orthorhombic
Space group   Pnma, No. 62

Lattice parameters (Å, degrees): 3.840 6.528 19.197 90.00 90.00 90.00
Positions (direct):
1 Tl 0.250 0.271 0.304
2 O 0.750 0.436 0.429
3 O 0.750 0.759 0.922
4 Tl 0.750 0.729 0.696
5 O 0.750 0.536 0.117
6 O 0.250 0.741 0.422
7 Tl 0.750 0.229 0.804
8 O 0.750 0.168 0.199
9 O 0.250 0.832 0.801
10 Ti 0.250 0.817 0.533
11 Ti 0.250 0.317 0.967
12 Nb 0.750 0.728 0.393
13 Nb 0.750 0.228 0.107
14 O 0.250 0.241 0.078
15 O 0.250 0.332 0.699
16 Nb 0.250 0.772 0.893
17 Ti 0.750 0.183 0.467
18 O 0.250 0.645 0.010
19 O 0.250 0.464 0.883
20 Nb 0.250 0.272 0.607
21 Tl 0.250 0.771 0.196
22 Ti 0.750 0.683 0.033
23 O 0.250 0.145 0.490
24 O 0.750 0.355 0.990
25 O 0.250 0.064 0.929
26 O 0.250 0.564 0.571
27 O 0.750 0.855 0.510
28 O 0.750 0.036 0.383
29 O 0.750 0.259 0.578
30 O 0.250 0.964 0.617
31 O 0.750 0.936 0.071
32 O 0.750 0.668 0.301

[10]
A relaxed YTiNbO6 crystal, computed with PBE.

Output
Calculated total energy   -9.080 eV per atom
Formation energy from the elements   -3.521 eV/atom
Crystal system   monoclinic
Space group   P2_1/c, No. 14

Lattice parameters (Å, degrees): 14.785 5.246 5.640 89.34 90.00 90.00
Positions (direct):
1 O 0.757 0.858 0.642
2 O 0.257 0.142 0.858
3 O 0.240 0.642 0.640
4 O 0.085 0.918 0.087
5 Nb 0.669 0.177 0.185
6 Nb 0.331 0.823 0.815
7 O 0.415 0.918 0.587
8 O 0.740 0.358 0.860
9 O 0.587 0.584 0.589
10 Y 0.001 0.745 0.762
11 Ti 0.837 0.684 0.312
12 O 0.908 0.463 0.557
13 O 0.760 0.358 0.360
14 O 0.913 0.584 0.089
15 O 0.092 0.537 0.443
16 Y 0.999 0.255 0.238
17 O 0.087 0.416 0.911
18 O 0.408 0.038 0.065
19 Ti 0.663 0.684 0.812
20 Y 0.501 0.255 0.738
21 O 0.592 0.463 0.057
22 Nb 0.831 0.177 0.685
23 O 0.243 0.142 0.358
24 Ti 0.163 0.316 0.688
25 O 0.585 0.082 0.413
26 O 0.413 0.416 0.411
27 Nb 0.169 0.823 0.315
28 O 0.260 0.642 0.140
29 O 0.743 0.858 0.142
30 O 0.408 0.537 0.943
31 O 0.092 0.038 0.565
32 Ti 0.337 0.316 0.188
33 O 0.908 0.962 0.435
34 O 0.592 0.962 0.935
35 Y 0.499 0.745 0.262
36 O 0.915 0.082 0.913

[11]
A relaxed Y4Ti2Nb2O15 crystal, computed with PBE.

Output
Calculated total energy   -9.052 eV per atom
Formation energy from the elements   -3.584 eV/atom
Crystal system   orthorhombic
Space group   Imm2, No. 44

Lattice parameters (Å, degrees): 7.292 7.292 7.292 120.52 119.52 89.98
Positions (direct):
1 Y 0.254 0.007 0.753
2 Nb 0.231 0.995 0.236
3 O 0.102 0.102 0.462
4 O 0.124 0.624 0.500
5 Ti 0.758 0.520 0.762
6 Nb 0.758 0.995 0.764
7 O 0.110 0.110 0.000
8 O 0.641 0.102 0.000
9 O 0.821 0.923 0.499
10 O 0.425 0.923 0.102
11 O 0.649 0.649 0.000
12 O 0.102 0.640 0.000
13 O 0.423 0.923 0.500
14 Y 0.254 0.502 0.247
15 O 0.880 0.880 0.000
16 Ti 0.758 0.997 0.238
17 O 0.821 0.321 0.500
18 O 0.425 0.323 0.501
19 O 0.641 0.640 0.538
20 Y 0.743 0.499 0.244
21 Y 0.256 0.499 0.756
22 O 0.821 0.323 0.898
23 O 0.377 0.377 0.000

[12]
A relaxed TiNb2ZnO8 crystal, computed with PBE.

Output
Calculated total energy   -8.205 eV per atom
Formation energy from the elements   -2.918 eV/atom
Crystal system   monoclinic
Space group   P2, No. 3

Lattice parameters (Å, degrees): 5.802 4.741 5.033 88.52 90.00 90.00
Positions (direct):
1 O 0.122 0.735 0.821
2 Nb 0.812 0.500 0.000
3 O 0.372 0.241 0.677
4 Ti 0.168 0.500 0.500
5 O 0.122 0.265 0.179
6 O 0.612 0.226 0.157
7 O 0.372 0.759 0.323
8 O 0.900 0.709 0.317
9 O 0.612 0.774 0.843
10 O 0.900 0.291 0.683
11 Zn 0.691 0.000 0.500
12 Nb 0.317 0.000 0.000

[13]
A relaxed NbTlO3 crystal, computed with PBE.

Output
Calculated total energy   -7.414 eV per atom
Formation energy from the elements   -2.364 eV/atom
Crystal system   cubic
Space group   Pm-3m, No. 221

Lattice parameters (Å, degrees): 4.109 4.109 4.109 90.00 90.00 90.00
Positions (direct):
1 O 0.000 0.500 0.500
2 Tl 0.000 0.000 0.000
3 Nb 0.500 0.500 0.500
4 O 0.500 0.000 0.500
5 O 0.500 0.500 0.000

[14]
A relaxed NbTlO3 crystal, computed with PBE.

Output
Calculated total energy   -7.504 eV per atom
Formation energy from the elements   -2.455 eV/atom
Crystal system   monoclinic
Space group   Cc, No. 9

Lattice parameters (Å, degrees): 7.653 7.653 13.255 73.18 73.18 59.97
Positions (direct):
1 O 0.719 0.219 0.970
2 O 0.966 0.093 0.345
3 O 0.470 0.593 0.843
4 O 0.909 0.780 0.031
5 Tl 0.215 0.269 0.746
6 Tl 0.494 0.991 0.019
7 Tl 0.727 0.781 0.757
8 Tl 0.991 0.494 0.519
9 O 0.780 0.280 0.531
10 O 0.596 0.093 0.344
11 O 0.219 0.095 0.468
12 O 0.280 0.780 0.031
13 Nb 0.751 0.251 0.249
14 Nb 0.501 0.500 0.000
15 Tl 0.781 0.727 0.257
16 Nb 0.500 0.501 0.500
17 Nb 0.251 0.751 0.749
18 O 0.219 0.719 0.470
19 O 0.095 0.219 0.968
20 O 0.719 0.592 0.970
21 O 0.093 0.966 0.845
22 O 0.280 0.412 0.029
23 Nb 0.001 0.000 0.000
24 O 0.533 0.404 0.156
25 O 0.404 0.533 0.656
26 Nb 0.001 0.501 0.999
27 Nb 0.501 0.001 0.499
28 Tl 0.235 0.727 0.258
29 Nb 0.000 0.001 0.500
30 O 0.907 0.404 0.155
31 O 0.037 0.905 0.654
32 Tl 0.269 0.215 0.246
33 O 0.780 0.909 0.531
34 O 0.593 0.470 0.343
35 O 0.412 0.280 0.529
36 Tl 0.727 0.235 0.758
37 O 0.404 0.907 0.655
38 O 0.592 0.719 0.470
39 O 0.093 0.596 0.844
40 O 0.905 0.037 0.154